Record 1
Below is FeCoNi4S8 after structural relaxation, with properties calculated at the PBE level.

Unit cell a=6.6300 b=6.6300 c=6.6300 alpha=60.00 beta=60.00 gamma=60.00
Sites, in units of the cell vectors:
Fe1 0.0000 0.0000 0.0000
Co1 0.7500 0.7500 0.7500
Ni1 0.3752 0.3752 0.3752
Ni2 0.3752 0.3752 0.8746
Ni3 0.3752 0.8746 0.3752
Ni4 0.8746 0.3752 0.3752
S1 0.1299 0.1299 0.1299
S2 0.1299 0.1299 0.6104
S3 0.1299 0.6104 0.1299
S4 0.1431 0.6190 0.6190
S5 0.6104 0.1299 0.1299
S6 0.6190 0.1431 0.6190
S7 0.6190 0.6190 0.1431
S8 0.6190 0.6190 0.6190

Values from the calculation:
The formation energy is -662 meV/atom.

Record 2
Below is FeCoP after structural relaxation, with properties calculated at the PBE level.

Unit cell a=5.7116 b=3.5270 c=6.5253 alpha=90.00 beta=90.00 gamma=90.00
Sites, in units of the cell vectors:
Fe1 0.0302 0.2500 0.1619
Fe2 0.4698 0.7500 0.6619
Fe3 0.5302 0.2500 0.3381
Fe4 0.9698 0.7500 0.8381
Co1 0.1391 0.2500 0.5679
Co2 0.3609 0.7500 0.0679
Co3 0.6391 0.2500 0.9321
Co4 0.8609 0.7500 0.4321
P1 0.2429 0.7500 0.3813
P2 0.2571 0.2500 0.8813
P3 0.7429 0.7500 0.1187
P4 0.7571 0.2500 0.6187

Values from the calculation:
The formation energy is -550 meV/atom.

Record 3
Below is PrFeCo4 after structural relaxation, with properties calculated at the PBE level.

Unit cell a=5.0701 b=5.0701 c=3.9414 alpha=90.00 beta=90.00 gamma=120.00
Sites, in units of the cell vectors:
Pr1 0.0000 0.0000 0.0000
Fe1 0.3333 0.6667 0.0000
Co1 0.5013 0.0027 0.5000
Co2 0.5013 0.4987 0.5000
Co3 0.6667 0.3333 0.0000
Co4 0.9973 0.4987 0.5000

Values from the calculation:
The formation energy is -32 meV/atom.

Record 4
Below is PrFeCo after structural relaxation, with properties calculated at the PBE level.

Unit cell a=5.0770 b=5.4835 c=7.3202 alpha=90.00 beta=90.00 gamma=90.00
Sites, in units of the cell vectors:
Pr1 0.0000 0.2500 0.1237
Pr2 0.0000 0.7500 0.8763
Pr3 0.5000 0.2500 0.3763
Pr4 0.5000 0.7500 0.6237
Fe1 0.2500 0.2500 0.7500
Fe2 0.2500 0.7500 0.2500
Fe3 0.7500 0.2500 0.7500
Fe4 0.7500 0.7500 0.2500
Co1 0.0000 0.0000 0.5000
Co2 0.0000 0.5000 0.5000
Co3 0.5000 0.0000 0.0000
Co4 0.5000 0.5000 0.0000

Values from the calculation:
The formation energy is 50 meV/atom.

Record 5
Below is FeCoPt2 after structural relaxation, with properties calculated at the PBE level.

Unit cell a=2.6787 b=2.6787 c=25.8284 alpha=90.00 beta=90.00 gamma=120.00
Sites, in units of the cell vectors:
Fe1 0.0000 0.0000 0.0000
Fe2 0.3333 0.6667 0.6667
Fe3 0.6667 0.3333 0.3333
Co1 0.0000 0.0000 0.2637
Co2 0.3333 0.6667 0.9304
Co3 0.6667 0.3333 0.5970
Pt1 0.0000 0.0000 0.5130
Pt2 0.0000 0.0000 0.7495
Pt3 0.3333 0.6667 0.1797
Pt4 0.3333 0.6667 0.4162
Pt5 0.6667 0.3333 0.0828
Pt6 0.6667 0.3333 0.8463

Values from the calculation:
The formation energy is -3 meV/atom.

Record 6
Below is FeCoPt2 after structural relaxation, with properties calculated at the PBE level.

Unit cell a=2.6705 b=2.6705 c=7.3204 alpha=90.00 beta=90.00 gamma=90.00
Sites, in units of the cell vectors:
Fe1 0.0000 0.0000 0.0000
Co1 0.0000 0.0000 0.5000
Pt1 0.5000 0.5000 0.2493
Pt2 0.5000 0.5000 0.7507

Values from the calculation:
The formation energy is -118 meV/atom.